## PbO (PBE)

Data for an optimized crystal structure of PbO.

Cell lengths 6.1476, 5.7284, 4.8168 Å; angles 90.00, 90.00, 90.00 degrees
With the nearest neighbours (Å) after each atom.
Atoms (fractional coordinates):
Pb 0.2212 0.0180 0.2500  4 O 2.26-2.51
Pb 0.2212 0.4820 0.7500  4 O 2.26-2.51
Pb 0.7788 0.5180 0.2500  4 O 2.26-2.51
Pb 0.7788 0.9820 0.7500  4 O 2.26-2.51
O 0.1321 0.0939 0.7500  4 Pb 2.26-2.51
O 0.1321 0.4061 0.2500  4 Pb 2.26-2.51
O 0.8679 0.5939 0.7500  4 Pb 2.26-2.51
O 0.8679 0.9061 0.2500  4 Pb 2.26-2.51

## Properties
**Space group**: Pbcm (57)
**Calculated volume**: 170 Å³ per cell
**E_tot**: -5.437 eV/atom
**Energy of formation**: -1450 meV per atom

## Na6Ti6O13 (PBE)

Data for an optimized crystal structure of Na6Ti6O13.

Cell lengths 8.7866, 8.7866, 9.4714 Å; angles 106.20, 106.20, 26.53 degrees
With the nearest neighbours (Å) after each atom.
Atoms (fractional coordinates):
Na 0.0209 0.0209 0.1571  5 O 2.28-2.47
Na 0.0965 0.0965 0.5291  3 O 2.24-2.29
Na 0.4511 0.4511 0.2896  3 O 2.32-2.33
Na 0.5489 0.5489 0.7104  3 O 2.32-2.33
Na 0.9035 0.9035 0.4709  3 O 2.24-2.29
Na 0.9791 0.9791 0.8429  5 O 2.28-2.47
Ti 0.2605 0.2605 0.2164  2 O 1.83-1.97
Ti 0.3153 0.3153 0.5850  4 O 1.81-2.03
Ti 0.3743 0.3743 0.9267  5 O 2.00-2.09
Ti 0.6257 0.6257 0.0733  5 O 2.00-2.09
Ti 0.6847 0.6847 0.4150  4 O 1.81-2.03
Ti 0.7395 0.7395 0.7836  2 O 1.83-1.97
O 0.1382 0.1382 0.0883  3 Ti 2.03-2.10
O 0.1994 0.1994 0.4194  3 Ti 2.03-2.15
O 0.2623 0.2623 0.7641  4 Ti 2.07-2.14
O 0.3289 0.3289 0.0997  2 Ti 1.83-2.00
O 0.3484 0.3484 0.4044  2 Ti 1.95-1.97
O 0.4147 0.4147 0.7208  1 Ti 1.81
O 0.5000 0.5000 0.0000  2 Ti 2.06
O 0.5853 0.5853 0.2792  1 Ti 1.81
O 0.6516 0.6516 0.5956  2 Ti 1.95-1.97
O 0.6711 0.6711 0.9003  2 Ti 1.83-2.00
O 0.7377 0.7377 0.2359  4 Ti 2.07-2.14
O 0.8006 0.8006 0.5806  3 Ti 2.03-2.15
O 0.8618 0.8618 0.9117  3 Ti 2.03-2.10

## Properties
**Total moment**: 2.05 μB per formula unit
**Space group**: C2/m (12)
**Calculated volume**: 313 Å³ per cell
**E_tot**: -7.134 eV/atom
**Energy of formation**: -2706 meV per atom

## In3Cu3SiSe8 (PBE)

Data for an optimized crystal structure of In3Cu3SiSe8.

Cell lengths 5.8823, 5.8823, 11.0850 Å; angles 90.00, 90.00, 90.00 degrees
With the nearest neighbours (Å) after each atom.
Atoms (fractional coordinates):
In 0.0000 0.0000 0.0000  4 Se 2.64
In 0.0000 0.5000 0.2661  4 Se 2.65-2.66
In 0.5000 0.0000 0.7339  4 Se 2.65-2.66
Cu 0.0000 0.5000 0.7359  4 Se 2.45
Cu 0.5000 0.0000 0.2641  4 Se 2.45
Cu 0.5000 0.5000 0.0000  4 Se 2.46
Si 0.5000 0.5000 0.5000  4 Se 2.32
Se 0.2399 0.2733 0.6018  1 Si 2.32, 1 Cu 2.45
Se 0.2493 0.7219 0.8674  2 Cu 2.45-2.46, 2 In 2.64-2.65
Se 0.2733 0.7601 0.3982  1 Si 2.32, 1 Cu 2.45
Se 0.2781 0.2493 0.1326  2 Cu 2.45-2.46, 2 In 2.64-2.65
Se 0.7219 0.7507 0.1326  2 Cu 2.45-2.46, 2 In 2.64-2.65
Se 0.7267 0.2399 0.3982  1 Si 2.32, 1 Cu 2.45
Se 0.7507 0.2781 0.8674  2 Cu 2.45-2.46, 2 In 2.64-2.65
Se 0.7601 0.7267 0.6018  1 Si 2.32, 1 Cu 2.45

## Properties
**Total moment**: 0.00 μB per formula unit
**Space group**: P-4 (81)
**Calculated volume**: 384 Å³ per cell
**E_tot**: -4.019 eV/atom
**Energy of formation**: -674 meV per atom

## TlAuC2N2 (PBE)

Data for an optimized crystal structure of TlAuC2N2.

Cell lengths 7.1680, 30.8886, 9.2093 Å; angles 90.00, 90.00, 90.00 degrees
With the nearest neighbours (Å) after each atom.
Atoms (fractional coordinates):
Tl 0.2194 0.2173 0.0866  4 N 2.83-3.06
Tl 0.2194 0.7827 0.5866  4 N 2.83-3.06
Tl 0.2238 0.0307 0.4174  5 N 2.88-3.21
Tl 0.2238 0.9693 0.9174  5 N 2.88-3.21
Tl 0.2762 0.4693 0.9174  5 N 2.88-3.21
Tl 0.2762 0.5307 0.4174  5 N 2.88-3.21
Tl 0.2806 0.2827 0.5866  4 N 2.83-3.06
Tl 0.2806 0.7173 0.0866  4 N 2.83-3.06
Tl 0.7194 0.2827 0.9134  4 N 2.83-3.06
Tl 0.7194 0.7173 0.4134  4 N 2.83-3.06
Tl 0.7238 0.4693 0.5826  5 N 2.88-3.21
Tl 0.7238 0.5307 0.0826  5 N 2.88-3.21
Tl 0.7762 0.0307 0.0826  5 N 2.88-3.21
Tl 0.7762 0.9693 0.5826  5 N 2.88-3.21
Tl 0.7806 0.2173 0.4134  4 N 2.83-3.06
Tl 0.7806 0.7827 0.9134  4 N 2.83-3.06
Au 0.0000 0.1315 0.7500  2 C 2.00
Au 0.0000 0.3790 0.2500  2 C 2.00
Au 0.0000 0.6210 0.7500  2 C 2.00
Au 0.0000 0.8685 0.2500  2 C 2.00
Au 0.0021 0.3763 0.5822  2 C 2.00
Au 0.0021 0.6237 0.0822  2 C 2.00
Au 0.4979 0.1237 0.0822  2 C 2.00
Au 0.4979 0.8763 0.5822  2 C 2.00
Au 0.5000 0.1210 0.7500  2 C 2.00
Au 0.5000 0.3685 0.2500  2 C 2.00
Au 0.5000 0.6315 0.7500  2 C 2.00
Au 0.5000 0.8790 0.2500  2 C 2.00
Au 0.5021 0.1237 0.4178  2 C 2.00
Au 0.5021 0.8763 0.9178  2 C 2.00
Au 0.9979 0.3763 0.9178  2 C 2.00
Au 0.9979 0.6237 0.4178  2 C 2.00
C 0.0000 0.0669 0.7500  1 N 1.18
C 0.0000 0.1963 0.7500  1 N 1.18
C 0.0000 0.3142 0.2500  1 N 1.18
C 0.0000 0.4439 0.2500  1 N 1.18
C 0.0000 0.5561 0.7500  1 N 1.18
C 0.0000 0.6858 0.7500  1 N 1.18
C 0.0000 0.8037 0.2500  1 N 1.18
C 0.0000 0.9331 0.2500  1 N 1.18
C 0.2148 0.3356 0.9118  1 N 1.17
C 0.2148 0.6644 0.4118  1 N 1.17
C 0.2187 0.4171 0.5868  1 N 1.17
C 0.2187 0.5829 0.0868  1 N 1.17
C 0.2813 0.0829 0.0868  1 N 1.17
C 0.2813 0.9171 0.5868  1 N 1.17
C 0.2852 0.1644 0.4118  1 N 1.17
C 0.2852 0.8356 0.9118  1 N 1.17
C 0.5000 0.0561 0.7500  1 N 1.18
C 0.5000 0.1858 0.7500  1 N 1.18
C 0.5000 0.3037 0.2500  1 N 1.18
C 0.5000 0.4331 0.2500  1 N 1.18
C 0.5000 0.5669 0.7500  1 N 1.18
C 0.5000 0.6963 0.7500  1 N 1.18
C 0.5000 0.8142 0.2500  1 N 1.18
C 0.5000 0.9439 0.2500  1 N 1.18
C 0.7148 0.1644 0.0882  1 N 1.17
C 0.7148 0.8356 0.5882  1 N 1.17
C 0.7187 0.0829 0.4132  1 N 1.17
C 0.7187 0.9171 0.9132  1 N 1.17
C 0.7813 0.4171 0.9132  1 N 1.17
C 0.7813 0.5829 0.4132  1 N 1.17
C 0.7852 0.3356 0.5882  1 N 1.17
C 0.7852 0.6644 0.0882  1 N 1.17
N 0.0000 0.0287 0.7500  1 C 1.18
N 0.0000 0.2345 0.7500  1 C 1.18
N 0.0000 0.2760 0.2500  1 C 1.18
N 0.0000 0.4820 0.2500  1 C 1.18
N 0.0000 0.5180 0.7500  1 C 1.18
N 0.0000 0.7240 0.7500  1 C 1.18
N 0.0000 0.7655 0.2500  1 C 1.18
N 0.0000 0.9713 0.2500  1 C 1.18
N 0.1603 0.0574 0.0956  1 C 1.17
N 0.1603 0.9426 0.5956  1 C 1.17
N 0.1624 0.1894 0.4020  1 C 1.17
N 0.1624 0.8106 0.9020  1 C 1.17
N 0.3376 0.3106 0.9020  1 C 1.17
N 0.3376 0.6894 0.4020  1 C 1.17
N 0.3397 0.4426 0.5956  1 C 1.17
N 0.3397 0.5574 0.0956  1 C 1.17
N 0.5000 0.0180 0.7500  1 C 1.18
N 0.5000 0.2240 0.7500  1 C 1.18
N 0.5000 0.2655 0.2500  1 C 1.18
N 0.5000 0.4713 0.2500  1 C 1.18
N 0.5000 0.5287 0.7500  1 C 1.18
N 0.5000 0.7345 0.7500  1 C 1.18
N 0.5000 0.7760 0.2500  1 C 1.18
N 0.5000 0.9820 0.2500  1 C 1.18
N 0.6603 0.4426 0.9044  1 C 1.17
N 0.6603 0.5574 0.4044  1 C 1.17
N 0.6624 0.3106 0.5980  1 C 1.17
N 0.6624 0.6894 0.0980  1 C 1.17
N 0.8376 0.1894 0.0980  1 C 1.17
N 0.8376 0.8106 0.5980  1 C 1.17
N 0.8397 0.0574 0.4044  1 C 1.17
N 0.8397 0.9426 0.9044  1 C 1.17

## Properties
**Total moment**: 0.00 μB per formula unit
**Space group**: Pbcn (60)
**Calculated volume**: 2039 Å³ per cell
**E_tot**: -6.529 eV/atom
**Energy of formation**: 146 meV per atom

## Na3CuF6 (PBE)

Data for an optimized crystal structure of Na3CuF6.

Cell lengths 5.5496, 5.7608, 9.7035 Å; angles 90.00, 124.79, 90.00 degrees
With the nearest neighbours (Å) after each atom.
Atoms (fractional coordinates):
Na 0.0000 0.0000 0.0000  6 F 2.26-2.32
Na 0.0000 0.5000 0.5000  6 F 2.26-2.32
Na 0.2300 0.0578 0.7447  4 F 2.31-2.35
Na 0.2300 0.4422 0.2447  4 F 2.31-2.35
Na 0.7700 0.5578 0.7553  4 F 2.31-2.35
Na 0.7700 0.9422 0.2553  4 F 2.31-2.35
Cu 0.5000 0.0000 0.5000  6 F 1.93-1.94
Cu 0.5000 0.5000 0.0000  6 F 1.93-1.94
F 0.1616 0.1756 0.4467  1 Cu 1.93
F 0.1616 0.3244 0.9467  1 Cu 1.93
F 0.2649 0.7214 0.4297  1 Cu 1.93
F 0.2649 0.7786 0.9297  1 Cu 1.93
F 0.3905 0.0565 0.2743  1 Cu 1.94
F 0.3905 0.4435 0.7743  1 Cu 1.94
F 0.6095 0.5565 0.2257  1 Cu 1.94
F 0.6095 0.9435 0.7257  1 Cu 1.94
F 0.7351 0.2214 0.0703  1 Cu 1.93
F 0.7351 0.2786 0.5703  1 Cu 1.93
F 0.8384 0.6756 0.0533  1 Cu 1.93
F 0.8384 0.8244 0.5533  1 Cu 1.93

## Properties
**Space group**: P2_1/c (14)
**Calculated volume**: 255 Å³ per cell
**E_tot**: -4.206 eV/atom
**Energy of formation**: -2527 meV per atom

## Ta3B2 (PBE)

Data for an optimized crystal structure of Ta3B2.

Cell lengths 6.2143, 6.2143, 3.3014 Å; angles 90.00, 90.00, 90.00 degrees
With the nearest neighbours (Å) after each atom.
Atoms (fractional coordinates):
Ta 0.0000 0.0000 0.0000  4 B 2.53, 8 Ta 2.82
Ta 0.1770 0.3230 0.5000  6 B 2.46-2.51
Ta 0.3230 0.8230 0.5000  6 B 2.46-2.51
Ta 0.5000 0.5000 0.0000  4 B 2.53, 8 Ta 2.82
Ta 0.6770 0.1770 0.5000  6 B 2.46-2.51
Ta 0.8230 0.6770 0.5000  6 B 2.46-2.51
B 0.1083 0.6083 0.0000  1 B 1.90
B 0.3917 0.1083 0.0000  1 B 1.90
B 0.6083 0.8917 0.0000  1 B 1.90
B 0.8917 0.3917 0.0000  1 B 1.90

## Properties
**Space group**: P4/mbm (127)
**Calculated volume**: 127 Å³ per cell
**E_tot**: -10.459 eV/atom
**Energy of formation**: -672 meV per atom

## SmZnSi (PBE)

Data for an optimized crystal structure of SmZnSi.

Cell lengths 4.1653, 4.1653, 4.1693 Å; angles 90.00, 90.00, 120.00 degrees
With the nearest neighbours (Å) after each atom.
Atoms (fractional coordinates):
Sm 0.0000 0.0000 0.0000  6 Zn 3.18, 6 Si 3.18
Zn 0.3333 0.6667 0.5000  3 Si 2.40
Si 0.6667 0.3333 0.5000  3 Zn 2.40

## Properties
**Space group**: P-6m2 (187)
**Calculated volume**: 63 Å³ per cell
**E_tot**: -4.447 eV/atom
**Energy of formation**: -622 meV per atom

## Mg3In (PBE)

Data for an optimized crystal structure of Mg3In.

Cell lengths 5.5022, 5.5022, 5.5022 Å; angles 131.17, 131.17, 71.54 degrees
With the nearest neighbours (Å) after each atom.
Atoms (fractional coordinates):
Mg 0.0000 0.0000 0.0000  8 Mg 3.19, 4 In 3.22
Mg 0.2500 0.7500 0.5000  4 In 3.19, 8 Mg 3.19-3.22
Mg 0.7500 0.2500 0.5000  4 In 3.19, 8 Mg 3.19-3.22
In 0.5000 0.5000 0.0000  12 Mg 3.19-3.22

## Properties
**Space group**: I4/mmm (139)
**Calculated volume**: 92 Å³ per cell
**E_tot**: -1.952 eV/atom
**Energy of formation**: -63 meV per atom